Record 1
Density functional theory data (PBE with a Hubbard U) for a relaxed structure of Sm2Fe2O5.

a = 3.8987 Å, b = 4.1662 Å, c = 8.0008 Å
α = 86.71°, β = 87.64°, γ = 89.25°
Space group P1 (No. 1)
Inequivalent atoms, fractional coordinates:
Sm  0.0000  0.0000  0.0000 [1 per cell]
Sm  0.0478  0.0817  0.5387 [1 per cell]
Fe  0.5241  0.5343  0.8145 [1 per cell]
Fe  0.5576  0.6016  0.3255 [1 per cell]
O  0.0220  0.5219  0.8506 [1 per cell]
O  0.0383  0.5977  0.4220 [1 per cell]
O  0.4966  0.7641  0.0775 [1 per cell]
O  0.5371  0.0575  0.7558 [1 per cell]
O  0.5604  0.1128  0.3769 [1 per cell]

Computed properties:
E above lowest polymorph	77	meV per atom
calculated density	6.31	Mg/m³
calculated formation energy	-2612	meV/atom
final energy	-7.41	eV per atom

---

Record 2
Density functional theory data (PBE with a Hubbard U) for a relaxed structure of Li2V3TeO8.

a = 6.0271 Å, b = 6.0271 Å, c = 9.9615 Å
α = 90.00°, β = 90.00°, γ = 120.00°
Space group P31c (No. 159)
Inequivalent atoms, fractional coordinates:
Li  0.0000  0.0000  0.0000 [2 per cell]
Li  0.3333  0.6667  0.4114 [2 per cell]
V  0.1681  0.8267  0.7248 [6 per cell]
Te  0.3333  0.6667  0.0009 [2 per cell]
O  0.0000  0.0000  0.3163 [2 per cell]
O  0.0305  0.5242  0.8459 [6 per cell]
O  0.1516  0.3188  0.1043 [6 per cell]
O  0.3333  0.6667  0.6178 [2 per cell]

Computed properties:
E above lowest polymorph	0	meV per atom
calculated density	4.48	Mg/m³
calculated formation energy	-2268	meV/atom
final energy	-6.78	eV per atom

---

Record 3
Density functional theory data (PBE with a Hubbard U) for a relaxed structure of SrSmV4O12.

a = 5.3608 Å, b = 5.3608 Å, c = 7.5358 Å
α = 90.00°, β = 90.00°, γ = 90.00°
Space group P4/mmm (No. 123)
Inequivalent atoms, fractional coordinates:
Sr  0.0000  0.0000  0.0000 [1 per cell]
Sm  0.5000  0.5000  0.5000 [1 per cell]
V  0.0000  0.5000  0.2493 [4 per cell]
O  0.0000  0.5000  0.0000 [2 per cell]
O  0.0000  0.5000  0.5000 [2 per cell]
O  0.2532  0.2532  0.2566 [8 per cell]

Computed properties:
calculated density	4.86	Mg/m³
calculated formation energy	-2634	meV/atom
final energy	-7.47	eV per atom

---

Record 4
Density functional theory data (PBE with a Hubbard U) for a relaxed structure of ZnFe2O4.

a = 6.0576 Å, b = 6.0576 Å, c = 59.1137 Å
α = 90.00°, β = 90.00°, γ = 120.00°
Space group R3m (No. 160, hexagonal axes)
Inequivalent atoms, fractional coordinates:
Zn  0.0000  0.0000  0.0000 [3 per cell]
Zn  0.0000  0.0000  0.0603 [3 per cell]
Zn  0.0000  0.0000  0.2497 [3 per cell]
Zn  0.0000  0.0000  0.3111 [3 per cell]
Zn  0.0000  0.0000  0.4048 [3 per cell]
Zn  0.0000  0.0000  0.4992 [3 per cell]
Zn  0.0000  0.0000  0.5616 [3 per cell]
Zn  0.0000  0.0000  0.8116 [3 per cell]
Fe  0.0000  0.0000  0.1557 [3 per cell]
Fe  0.0000  0.0000  0.6556 [3 per cell]
Fe  0.0000  0.0000  0.7498 [3 per cell]
Fe  0.0000  0.0000  0.9056 [3 per cell]
Fe  0.0000  0.5000  0.2806 [9 per cell]
Fe  0.0001  0.5001  0.5306 [9 per cell]
Fe  0.0022  0.5011  0.7805 [9 per cell]
Fe  0.0040  0.5020  0.0305 [9 per cell]
O  0.0000  0.0000  0.0953 [3 per cell]
O  0.0000  0.0000  0.2155 [3 per cell]
O  0.0000  0.0000  0.3451 [3 per cell]
O  0.0000  0.0000  0.4650 [3 per cell]
O  0.0000  0.0000  0.5955 [3 per cell]
O  0.0000  0.0000  0.7168 [3 per cell]
O  0.0000  0.0000  0.8454 [3 per cell]
O  0.0000  0.0000  0.9656 [3 per cell]
O  0.0125  0.5062  0.0946 [9 per cell]
O  0.0283  0.5142  0.5938 [9 per cell]
O  0.0277  0.5139  0.8438 [9 per cell]
O  0.0305  0.5153  0.3438 [9 per cell]
O  0.1778  0.3556  0.0494 [9 per cell]
O  0.1806  0.3612  0.3003 [9 per cell]
O  0.1807  0.3615  0.5504 [9 per cell]
O  0.1811  0.3622  0.8005 [9 per cell]

Computed properties:
E above lowest polymorph	19	meV per atom
calculated density	5.11	Mg/m³
calculated formation energy	-1726	meV/atom
final energy	-6.12	eV per atom

---

Record 5
Density functional theory data (PBE with a Hubbard U) for a relaxed structure of Mn2V3NiP6O24.

a = 8.6228 Å, b = 8.6228 Å, c = 21.0172 Å
α = 90.00°, β = 90.00°, γ = 120.00°
Space group R3 (No. 146, hexagonal axes)
Inequivalent atoms, fractional coordinates:
Mn  0.0000  0.0000  0.0000 [3 per cell]
Mn  0.0000  0.0000  0.4970 [3 per cell]
V  0.0000  0.0000  0.1462 [3 per cell]
V  0.0000  0.0000  0.6436 [3 per cell]
V  0.0000  0.0000  0.8559 [3 per cell]
Ni  0.0000  0.0000  0.3574 [3 per cell]
P  0.0005  0.2921  0.2521 [9 per cell]
P  0.0012  0.7094  0.7509 [9 per cell]
O  0.0041  0.8116  0.6898 [9 per cell]
O  0.0050  0.1940  0.1902 [9 per cell]
O  0.0102  0.8173  0.8107 [9 per cell]
O  0.0134  0.1803  0.9185 [9 per cell]
O  0.0238  0.8316  0.4247 [9 per cell]
O  0.1357  0.4617  0.9789 [9 per cell]
O  0.1698  0.4841  0.2458 [9 per cell]
O  0.1738  0.6932  0.7466 [9 per cell]

Computed properties:
calculated density	3.28	Mg/m³
calculated formation energy	-2539	meV/atom
final energy	-7.40	eV per atom

---

Record 6
Density functional theory data (PBE with a Hubbard U) for a relaxed structure of Fe3Co7O20.

a = 5.7896 Å, b = 2.8954 Å, c = 20.5877 Å
α = 90.00°, β = 97.76°, γ = 90.00°
Space group P2/m (No. 10)
Inequivalent atoms, fractional coordinates:
Fe  0.0000  0.0000  0.0000 [1 per cell]
Fe  0.4013  0.0000  0.7990 [2 per cell]
Co  0.0000  0.5000  0.5000 [1 per cell]
Co  0.1988  0.0000  0.4006 [2 per cell]
Co  0.1998  0.5000  0.8995 [2 per cell]
Co  0.3951  0.5000  0.3018 [2 per cell]
O  0.0105  0.0000  0.0970 [2 per cell]
O  0.0100  0.5000  0.5924 [2 per cell]
O  0.1776  0.5000  0.8078 [2 per cell]
O  0.1859  0.0000  0.3081 [2 per cell]
O  0.2093  0.0000  0.4931 [2 per cell]
O  0.2228  0.5000  0.9913 [2 per cell]
O  0.3760  0.5000  0.2091 [2 per cell]
O  0.3940  0.0000  0.7027 [2 per cell]
O  0.4080  0.5000  0.3937 [2 per cell]
O  0.4106  0.0000  0.8958 [2 per cell]

Computed properties:
calculated density	4.37	Mg/m³
calculated formation energy	-1083	meV/atom
final energy	-5.82	eV per atom